(one)
## Li2FeF4 (PBE+U)

Data for a relaxed Li2FeF4 crystal. Values from VASP.

Values from the calculation:
* density: 2.9 Mg/m³
* M_tot: 0.57 μB/atom

Structure (Quantum ESPRESSO input):
```
&SYSTEM
  ibrav = 0, nat = 14, ntyp = 3
/
ATOMIC_SPECIES
F 19.00 F.upf
Li 6.94 Li.upf
Fe 55.84 Fe.upf
ATOMIC_POSITIONS crystal
F 0.238 0.249 0.250
F 0.751 0.762 0.250
Li 0.500 0.500 0.500
Li 0.500 0.500 0.000
F 0.249 0.238 0.750
F 0.762 0.751 0.750
F 0.729 0.271 0.487
Fe 0.830 0.170 0.750
F 0.271 0.729 0.987
Li 0.845 0.155 0.250
Fe 0.170 0.830 0.250
F 0.729 0.271 0.013
Li 0.155 0.845 0.750
F 0.271 0.729 0.513
CELL_PARAMETERS angstrom
-1.738 3.947 -2.928
-0.240 0.996 5.111
6.065 2.517 -0.206
```

---

(two)
## Li2FeF4 (PBE+U)

Data for a relaxed Li2FeF4 crystal. Values from VASP.

Values from the calculation:
* density: 2.3 Mg/m³
* M_tot: 0.57 μB/atom

Structure (Quantum ESPRESSO input):
```
&SYSTEM
  ibrav = 0, nat = 28, ntyp = 3
/
ATOMIC_SPECIES
F 19.00 F.upf
Li 6.94 Li.upf
Fe 55.84 Fe.upf
ATOMIC_POSITIONS crystal
F 0.903 0.234 0.484
F 0.097 0.766 0.516
F 0.974 0.907 0.144
Li 0.894 0.129 0.039
Li 0.404 0.624 0.221
Li 0.394 0.871 0.461
Fe 0.903 0.741 0.342
Li 0.904 0.376 0.279
F 0.943 0.737 0.853
F 0.591 0.439 0.212
Li 0.606 0.129 0.539
F 0.474 0.093 0.356
F 0.057 0.263 0.147
Fe 0.097 0.259 0.658
F 0.526 0.907 0.644
F 0.409 0.561 0.788
F 0.443 0.263 0.647
F 0.557 0.737 0.353
Fe 0.403 0.259 0.158
F 0.026 0.093 0.856
F 0.403 0.766 0.016
F 0.597 0.234 0.984
Li 0.106 0.871 0.961
Li 0.596 0.376 0.779
Li 0.096 0.624 0.721
F 0.091 0.561 0.288
Fe 0.597 0.741 0.842
F 0.909 0.439 0.712
CELL_PARAMETERS angstrom
5.677 0.000 0.000
0.000 8.409 0.000
0.000 2.434 8.675
```

---

(three)
## Li2FeF4 (PBE+U)

Data for a relaxed Li2FeF4 crystal. Values from VASP.

Values from the calculation:
* density: 3.1 Mg/m³
* M_tot: 0.57 μB/atom

Structure (Quantum ESPRESSO input):
```
&SYSTEM
  ibrav = 0, nat = 7, ntyp = 3
/
ATOMIC_SPECIES
F 19.00 F.upf
Li 6.94 Li.upf
Fe 55.84 Fe.upf
ATOMIC_POSITIONS crystal
F 0.235 0.765 0.000
Li 0.500 0.000 0.500
Li 0.000 0.500 0.500
F 0.242 0.242 0.500
F 0.765 0.235 0.000
Fe 0.000 0.000 0.000
F 0.758 0.758 0.500
CELL_PARAMETERS angstrom
2.988 -4.354 0.000
2.988 4.354 0.000
0.000 0.000 2.983
```

---

Of them, (two) has the highest stability.

---

(one)
## LiV3O4 (PBE+U)

Data for a relaxed LiV3O4 crystal. Values from VASP.

Values from the calculation:
* density: 4.6 Mg/m³

Structure (Quantum ESPRESSO input):
```
&SYSTEM
  ibrav = 0, nat = 16, ntyp = 3
/
ATOMIC_SPECIES
O 16.00 O.upf
Li 6.94 Li.upf
V 50.94 V.upf
ATOMIC_POSITIONS crystal
O 0.000 0.242 0.742
O 0.987 0.236 0.264
Li 0.000 0.500 0.000
V 0.500 0.500 0.500
V 0.000 0.000 0.500
O 0.515 0.766 0.734
O 0.485 0.234 0.266
O 0.013 0.764 0.736
O 0.000 0.758 0.258
V 0.000 0.500 0.500
V 0.500 0.000 0.000
O 0.500 0.242 0.742
V 0.000 0.000 0.000
O 0.500 0.758 0.258
Li 0.500 0.500 0.000
V 0.500 0.000 0.500
CELL_PARAMETERS angstrom
3.201 3.016 4.378
-2.995 3.094 -4.331
-2.922 3.155 4.324
```

---

(two)
## LiV3O4 (PBE+U)

Data for a relaxed LiV3O4 crystal. Values from VASP.

Values from the calculation:
* density: 4.6 Mg/m³
* M_tot: 0.63 μB/atom

Structure (Quantum ESPRESSO input):
```
&SYSTEM
  ibrav = 0, nat = 16, ntyp = 3
/
ATOMIC_SPECIES
O 16.00 O.upf
V 50.94 V.upf
Li 6.94 Li.upf
ATOMIC_POSITIONS crystal
O 0.999 0.251 0.753
V 0.500 0.000 0.000
V 0.500 0.000 0.500
O 0.499 0.239 0.741
Li 0.000 0.500 0.000
O 0.983 0.241 0.258
V 0.000 0.500 0.500
O 0.500 0.759 0.741
O 0.001 0.749 0.247
V 0.000 0.000 0.500
O 0.500 0.241 0.259
V 0.000 0.000 0.000
V 0.500 0.500 0.500
O 0.017 0.759 0.742
O 0.501 0.761 0.259
Li 0.500 0.500 0.000
CELL_PARAMETERS angstrom
3.117 2.946 4.290
-2.947 3.162 -4.320
-2.986 3.121 4.317
```

---

Of them, (one) has the highest stability.

---

(one)
## Na2NiPCO7 (PBE+U)

Data for a relaxed Na2NiPCO7 crystal. Values from VASP.

Values from the calculation:
* density: 2.9 Mg/m³
* M_tot: 0.08 μB/atom

Structure (Quantum ESPRESSO input):
```
&SYSTEM
  ibrav = 0, nat = 48, ntyp = 5
/
ATOMIC_SPECIES
Ni 58.69 Ni.upf
Na 22.99 Na.upf
O 16.00 O.upf
P 30.97 P.upf
C 12.01 C.upf
ATOMIC_POSITIONS crystal
Ni 0.265 0.512 0.653
Na 0.138 0.626 0.256
O 0.177 0.416 0.457
Na 0.963 0.230 0.088
P 0.022 0.271 0.419
O 0.946 0.199 0.567
O 0.340 0.590 0.866
O 0.112 0.675 0.672
O 0.833 0.584 0.542
O 0.575 0.638 0.325
O 0.787 0.534 0.934
P 0.486 0.234 0.575
O 0.448 0.693 0.577
O 0.128 0.380 0.831
Ni 0.240 0.985 0.346
O 0.924 0.863 0.675
O 0.657 0.406 0.135
O 0.334 0.086 0.539
O 0.845 0.098 0.858
O 0.864 0.617 0.174
O 0.277 0.035 0.934
Na 0.365 0.877 0.749
O 0.633 0.885 0.832
O 0.382 0.817 0.332
Na 0.628 0.616 0.749
P 0.984 0.735 0.578
O 0.613 0.175 0.672
Ni 0.736 0.483 0.347
O 0.735 0.973 0.065
Na 0.852 0.883 0.269
P 0.515 0.764 0.424
Na 0.863 0.384 0.734
O 0.211 0.460 0.068
O 0.053 0.807 0.426
O 0.557 0.309 0.427
O 0.906 0.343 0.320
Na 0.133 0.115 0.734
Ni 0.762 0.014 0.649
O 0.665 0.912 0.461
Na 0.384 0.385 0.250
C 0.769 0.521 0.074
O 0.366 0.112 0.172
O 0.158 0.903 0.137
O 0.076 0.142 0.317
C 0.735 0.982 0.925
C 0.227 0.477 0.927
C 0.269 0.018 0.074
O 0.425 0.359 0.677
CELL_PARAMETERS angstrom
8.366 0.000 0.000
-2.087 8.137 0.000
-0.084 -0.214 8.871
```

---

(two)
## Na2NiPCO7 (PBE+U)

Data for a relaxed Na2NiPCO7 crystal. Values from VASP.

Values from the calculation:
* density: 2.8 Mg/m³
* M_tot: 0.08 μB/atom

Structure (Quantum ESPRESSO input):
```
&SYSTEM
  ibrav = 0, nat = 24, ntyp = 5
/
ATOMIC_SPECIES
O 16.00 O.upf
Na 22.99 Na.upf
C 12.01 C.upf
P 30.97 P.upf
Ni 58.69 Ni.upf
ATOMIC_POSITIONS crystal
O 0.522 0.252 0.172
Na 0.787 0.726 0.087
C 0.290 0.753 0.930
O 0.418 0.761 0.461
Na 0.750 0.015 0.737
P 0.715 0.752 0.421
O 0.213 0.438 0.670
O 0.858 0.752 0.570
Ni 0.780 0.259 0.343
O 0.579 0.250 0.535
Na 0.750 0.481 0.737
Na 0.248 0.981 0.267
O 0.785 0.937 0.317
O 0.491 0.746 0.838
O 0.777 0.566 0.324
O 0.217 0.064 0.675
O 0.130 0.246 0.427
O 0.064 0.748 0.866
P 0.279 0.252 0.573
Ni 0.224 0.751 0.653
O 0.309 0.764 0.069
O 0.680 0.244 0.934
O 0.938 0.254 0.132
C 0.711 0.249 0.073
CELL_PARAMETERS angstrom
-3.766 3.310 -1.213
-3.161 -1.498 5.601
4.130 6.699 4.311
```

---

Of them, (one) has the highest stability.